First-principles (PBE) data for crystalline CaCeO3 at its relaxed geometry, as listed in the Materials Project.

Cell lengths 6.0622, 8.5126, 5.8407 Å; angles 90.00, 90.00, 90.00 degrees
Last column: nearest neighbours and their distance in Å.
Atoms (fractional coordinates):
Ca 0.0508 0.2500 0.0121  4 O 2.35-2.45
Ca 0.4492 0.7500 0.5121  4 O 2.35-2.45
Ca 0.5508 0.2500 0.4879  4 O 2.35-2.45
Ca 0.9492 0.7500 0.9879  4 O 2.35-2.45
Ce 0.0000 0.0000 0.5000  6 O 2.23-2.30
Ce 0.0000 0.5000 0.5000  6 O 2.23-2.30
Ce 0.5000 0.0000 0.0000  6 O 2.23-2.30
Ce 0.5000 0.5000 0.0000  6 O 2.23-2.30
O 0.0686 0.7500 0.3698  2 Ce 2.30, 2 Ca 2.35-2.45
O 0.1891 0.5699 0.8121  2 Ce 2.23-2.26, 1 Ca 2.35
O 0.1891 0.9301 0.8121  2 Ce 2.23-2.26, 1 Ca 2.35
O 0.3109 0.0699 0.3121  2 Ce 2.23-2.26, 1 Ca 2.35
O 0.3109 0.4301 0.3121  2 Ce 2.23-2.26, 1 Ca 2.35
O 0.4314 0.2500 0.8698  2 Ce 2.30, 2 Ca 2.35-2.45
O 0.5686 0.7500 0.1302  2 Ce 2.30, 2 Ca 2.35-2.45
O 0.6891 0.5699 0.6879  2 Ce 2.23-2.26, 1 Ca 2.35
O 0.6891 0.9301 0.6879  2 Ce 2.23-2.26, 1 Ca 2.35
O 0.8109 0.0699 0.1879  2 Ce 2.23-2.26, 1 Ca 2.35
O 0.8109 0.4301 0.1879  2 Ce 2.23-2.26, 1 Ca 2.35
O 0.9314 0.2500 0.6302  2 Ce 2.30, 2 Ca 2.35-2.45

Values from the calculation:
space group = Pnma (62)
calculated total energy = -7.765 eV/atom
E_form = -349.3 kJ/mol of atoms
total magnetization = 0.00 μB per formula unit

***

First-principles (PBE) data for crystalline SrCaCeTiO6 at its relaxed geometry, as listed in the Materials Project.

Cell lengths 5.8868, 5.8868, 5.8868 Å; angles 60.00, 60.00, 60.00 degrees
Last column: nearest neighbours and their distance in Å.
Atoms (fractional coordinates):
Sr 0.0000 0.0000 0.0000  12 O 2.95
Ca 0.5000 0.5000 0.5000  12 O 2.95
Ce 0.7500 0.7500 0.7500  6 O 2.20
Ti 0.2500 0.2500 0.2500  6 O 1.96
O 0.0143 0.0143 0.4857  1 Ti 1.96
O 0.0143 0.4857 0.0143  1 Ti 1.96
O 0.0143 0.4857 0.4857  1 Ti 1.96
O 0.4857 0.0143 0.0143  1 Ti 1.96
O 0.4857 0.0143 0.4857  1 Ti 1.96
O 0.4857 0.4857 0.0143  1 Ti 1.96

Values from the calculation:
space group = F-43m (216)
calculated total energy = -7.735 eV/atom
E_form = -330.6 kJ/mol of atoms
total magnetization = 0.00 μB per formula unit

***

First-principles (PBE) data for crystalline CaCe2S4 at its relaxed geometry, as listed in the Materials Project.

Cell lengths 7.4128, 7.4128, 7.4128 Å; angles 109.74, 109.74, 108.94 degrees
Last column: nearest neighbours and their distance in Å.
Atoms (fractional coordinates):
Ca 0.0000 0.0000 0.0000  8 S 2.85-3.09
Ca 0.7500 0.2500 0.5000  8 S 2.85-3.09
Ce 0.2468 0.6250 0.1218  8 S 2.86-3.08
Ce 0.3750 0.4968 0.6218  8 S 2.86-3.08
Ce 0.5032 0.1250 0.8782  8 S 2.86-3.08
Ce 0.8750 0.7532 0.3782  8 S 2.86-3.08
S 0.1255 0.2297 0.7477  2 Ca 2.85-3.09, 4 Ce 2.86-3.08
S 0.1278 0.7319 0.7523  2 Ca 2.85-3.09, 4 Ce 2.86-3.08
S 0.2681 0.0203 0.3959  2 Ca 2.85-3.09, 4 Ce 2.86-3.08
S 0.4819 0.3778 0.2523  2 Ca 2.85-3.09, 4 Ce 2.86-3.08
S 0.6222 0.8745 0.1041  2 Ca 2.85-3.09, 4 Ce 2.86-3.08
S 0.6245 0.8722 0.6041  2 Ca 2.85-3.09, 4 Ce 2.86-3.08
S 0.7703 0.5181 0.8959  2 Ca 2.85-3.09, 4 Ce 2.86-3.08
S 0.9797 0.3755 0.2477  2 Ca 2.85-3.09, 4 Ce 2.86-3.08

Values from the calculation:
space group = I-42d (122)
calculated total energy = -6.375 eV/atom
E_form = -223.5 kJ/mol of atoms
total magnetization = 2.00 μB per formula unit